Computed, not measured: a relaxed structure of Nb3V3Si2 at the GGA-PBE level of DFT. Values from VASP.

Structure (Quantum ESPRESSO input):
```
&SYSTEM
  ibrav = 0, nat = 8, ntyp = 3
/
ATOMIC_SPECIES
Si 28.09 Si.upf
Nb 92.91 Nb.upf
V 50.94 V.upf
CELL_PARAMETERS angstrom
-0.0074 4.9308 -0.0074
0.0074 -0.0074 4.9308
4.9308 -0.0074 0.0074
ATOMIC_POSITIONS angstrom
Si 2.4552 2.4682 2.4552
Si 0.0028 4.9206 0.0028
Nb 3.6944 4.9126 2.4546
Nb 0.0108 2.4689 3.6944
Nb 2.4546 1.2290 0.0108
V 0.0013 2.4667 1.2290
V 2.4567 3.6944 0.0013
V 1.2290 4.9222 2.4567
```

## Properties
Symmetry: R32 (155)
DFT formation energy: -262 kJ/mol of formula units

Computed, not measured: a relaxed structure of Nb3Sn at the GGA-PBE level of DFT. Values from VASP.

Structure (Quantum ESPRESSO input):
```
&SYSTEM
  ibrav = 0, nat = 8, ntyp = 2
/
ATOMIC_SPECIES
Nb 92.91 Nb.upf
Sn 118.71 Sn.upf
CELL_PARAMETERS angstrom
5.3346 0.0000 0.0000
0.0000 5.3346 0.0000
0.0000 0.0000 5.3346
ATOMIC_POSITIONS angstrom
Nb 1.3337 0.0000 2.6673
Nb 2.6673 4.0010 0.0000
Nb 0.0000 2.6673 4.0010
Nb 2.6673 1.3337 0.0000
Nb 0.0000 2.6673 1.3337
Nb 4.0010 0.0000 2.6673
Sn 0.0000 0.0000 0.0000
Sn 2.6673 2.6673 2.6673
```

## Properties
Symmetry: Pm-3n (223)
DFT formation energy: -63 kJ/mol of formula units

Computed, not measured: a relaxed structure of NbSn3 at the GGA-PBE level of DFT. Values from VASP.

Structure (Quantum ESPRESSO input):
```
&SYSTEM
  ibrav = 0, nat = 8, ntyp = 2
/
ATOMIC_SPECIES
Sn 118.71 Sn.upf
Nb 92.91 Nb.upf
CELL_PARAMETERS angstrom
3.1326 -5.4258 0.0000
3.1326 5.4258 0.0000
0.0000 0.0000 5.4862
ATOMIC_POSITIONS angstrom
Sn 4.6382 -0.9393 4.1146
Sn 3.1326 3.5471 1.3715
Sn 4.6382 0.9393 1.3715
Sn 1.6270 -0.9393 4.1146
Sn 1.6270 0.9393 1.3715
Sn 3.1326 -3.5471 4.1146
Nb 3.1326 -1.8086 1.3715
Nb 3.1326 1.8086 4.1146
```

## Properties
Symmetry: P6_3/mmc (194)
DFT formation energy: 120 kJ/mol of formula units

Computed, not measured: a relaxed structure of NbSn2 at the GGA-PBE level of DFT. Values from VASP.

Structure (Quantum ESPRESSO input):
```
&SYSTEM
  ibrav = 0, nat = 12, ntyp = 2
/
ATOMIC_SPECIES
Sn 118.71 Sn.upf
Nb 92.91 Nb.upf
CELL_PARAMETERS angstrom
-6.7345 -0.3627 8.5148
-5.3141 4.9739 6.9635
-5.1847 -2.0892 -1.2876
ATOMIC_POSITIONS angstrom
Sn -11.8100 3.1450 10.5985
Sn -11.4801 4.0562 14.0895
Sn -4.8769 1.1855 4.9364
Sn -5.7533 -1.5342 0.1011
Sn -3.7398 0.0755 2.1589
Sn -7.5016 2.5146 7.0508
Sn -9.7317 0.0074 7.1398
Sn -14.0400 0.6379 10.6875
Nb -12.0534 1.0407 8.5141
Nb -9.4882 2.1118 9.2242
Nb -13.7965 2.7422 12.7718
Nb -7.7451 0.4102 4.9665
```

## Properties
Symmetry: Fddd (70)
DFT formation energy: -40 kJ/mol of formula units

Computed, not measured: a relaxed structure of TbNb6Sn6 at the GGA-PBE level of DFT. Values from VASP.

Structure (Quantum ESPRESSO input):
```
&SYSTEM
  ibrav = 0, nat = 13, ntyp = 3
/
ATOMIC_SPECIES
Sn 118.71 Sn.upf
Nb 92.91 Nb.upf
Tb 158.93 Tb.upf
CELL_PARAMETERS angstrom
0.6606 4.8964 3.0642
-3.2835 -4.3177 2.0919
7.7035 -3.7554 4.3403
ATOMIC_POSITIONS angstrom
Sn 2.5471 -1.2417 1.4351
Sn 3.1976 -0.0527 4.9103
Sn -0.6541 1.8250 2.7401
Sn 1.8829 -3.1241 4.5862
Sn -1.9688 -1.2464 2.4160
Sn 5.1564 -2.5137 2.9052
Nb 2.2511 1.5118 2.6143
Nb 0.6093 -0.6470 3.6603
Nb 4.4712 -2.5297 5.8362
Nb 4.1409 -4.9779 4.3041
Nb 0.2790 -3.0953 2.1282
Nb 6.1130 -0.3708 4.7902
Tb 0.0000 0.0000 0.0000
```

## Properties
Symmetry: P6/mmm (191)
DFT formation energy: -394 kJ/mol of formula units

Computed, not measured: a relaxed structure of Nb6SnTe8 at the GGA-PBE level of DFT. Values from VASP.

Structure (Quantum ESPRESSO input):
```
&SYSTEM
  ibrav = 0, nat = 15, ntyp = 3
/
ATOMIC_SPECIES
Te 127.60 Te.upf
Nb 92.91 Nb.upf
Sn 118.71 Sn.upf
CELL_PARAMETERS angstrom
-10.7009 0.1111 0.8376
4.6243 -0.1230 -9.6862
-0.0358 -3.6711 0.0295
ATOMIC_POSITIONS angstrom
Te -1.3868 -2.7677 -2.9610
Te -5.6193 -2.7186 -2.6482
Te -8.8063 -0.8431 -1.8241
Te -4.7256 -0.9154 -5.8580
Te -2.8401 -2.7981 -8.5123
Te -0.4930 -0.9644 -6.1709
Te 2.6939 -2.8399 -6.9949
Te -3.2723 -0.8849 -0.3068
Nb 1.1342 -2.8010 -4.6316
Nb -2.6536 -2.7710 -5.4938
Nb -7.2465 -0.8820 -4.1875
Nb -3.4587 -0.9120 -3.3253
Nb -6.0991 -0.8634 -0.4760
Nb -0.0133 -2.8197 -8.3430
Sn -0.0179 -1.8355 0.0148
```

## Properties
Symmetry: P-3 (147)
DFT formation energy: -863 kJ/mol of formula units

Computed, not measured: a relaxed structure of SrZr2Nb at the GGA-PBE level of DFT. Values from VASP.

Structure (Quantum ESPRESSO input):
```
&SYSTEM
  ibrav = 0, nat = 4, ntyp = 3
/
ATOMIC_SPECIES
Zr 91.22 Zr.upf
Nb 92.91 Nb.upf
Sr 87.62 Sr.upf
CELL_PARAMETERS angstrom
0.0000 3.6712 3.6712
3.6712 0.0000 3.6712
3.6712 3.6712 0.0000
ATOMIC_POSITIONS angstrom
Zr 0.0000 0.0000 0.0000
Zr 5.5068 5.5068 5.5068
Nb 3.6712 3.6712 3.6712
Sr 1.8356 1.8356 1.8356
```

## Properties
Symmetry: F-43m (216)
DFT formation energy: 280 kJ/mol of formula units

Computed, not measured: a relaxed structure of TaNb at the GGA-PBE level of DFT. Values from VASP.

Structure (Quantum ESPRESSO input):
```
&SYSTEM
  ibrav = 0, nat = 2, ntyp = 2
/
ATOMIC_SPECIES
Ta 180.95 Ta.upf
Nb 92.91 Nb.upf
CELL_PARAMETERS angstrom
-2.4463 -0.6259 1.3823
0.5736 -2.0614 -1.9258
2.4373 -2.3551 3.2471
ATOMIC_POSITIONS angstrom
Ta 0.2823 -2.5212 1.3518
Nb 0.0000 0.0000 0.0000
```

## Properties
Symmetry: Cmmm (65)
DFT formation energy: 0 kJ/mol of formula units

Computed, not measured: a relaxed structure of TaNbTe4 at the GGA-PBE level of DFT. Values from VASP.

Structure (Quantum ESPRESSO input):
```
&SYSTEM
  ibrav = 0, nat = 18, ntyp = 3
/
ATOMIC_SPECIES
Te 127.60 Te.upf
Nb 92.91 Nb.upf
Ta 180.95 Ta.upf
CELL_PARAMETERS angstrom
-6.4542 -3.5233 0.1383
1.6519 0.4668 -7.5999
5.8499 -6.6974 4.3953
ATOMIC_POSITIONS angstrom
Te -0.5927 -4.2856 -1.3881
Te 1.8149 -5.8775 3.0147
Te -0.7589 -3.8789 -6.0696
Te 1.6405 -5.4601 -1.6940
Te 0.9939 -9.3573 2.2457
Te -1.4151 -7.6394 3.0837
Te 0.0586 -0.4110 -5.2915
Te 2.4569 -2.1209 -6.1410
Te -1.5868 -7.2229 -1.6194
Te 2.6307 -2.5266 -1.4586
Te -3.1749 -2.1564 -5.2433
Te 4.2193 -7.5923 2.1704
Nb 0.2672 -7.0159 1.1378
Nb 3.4954 -5.2543 1.0696
Nb -2.4485 -4.4953 -4.1420
Ta -0.6043 -10.2158 4.5285
Ta 2.6212 -8.4568 4.4616
Ta 0.7821 -2.7447 -4.1965
```

## Properties
Offset from the most stable computed form: 21.46 kcal/mol of atoms
Symmetry: P1 (1)
DFT formation energy: 141 kJ/mol of formula units

Computed, not measured: a relaxed structure of TaNbTe4 at the GGA-PBE level of DFT. Values from VASP.

Structure (Quantum ESPRESSO input):
```
&SYSTEM
  ibrav = 0, nat = 18, ntyp = 3
/
ATOMIC_SPECIES
Te 127.60 Te.upf
Ta 180.95 Ta.upf
Nb 92.91 Nb.upf
CELL_PARAMETERS angstrom
-0.0090 -7.3545 -0.0071
6.9402 1.8406 -6.8440
7.0601 -1.8275 2.7423
ATOMIC_POSITIONS angstrom
Te 4.0915 0.0010 -2.0593
Te 9.8918 -7.3446 -2.0458
Te 4.0886 -3.6719 -2.0617
Te 7.1062 -1.8286 -0.1650
Te 6.8918 -5.5205 -3.9446
Te 11.9418 -1.8240 -4.7847
Te 2.0617 -1.8405 0.6697
Te 6.8960 -1.8403 -3.9425
Te 2.0465 -5.5190 0.6817
Te 9.8919 -3.6667 -2.0428
Te 7.1029 -5.4938 -0.1705
Te 11.9412 -5.5006 -4.7911
Ta 6.9287 -5.5125 -6.8471
Ta 8.9632 -3.6693 0.7256
Ta 6.9344 -1.8375 -6.8450
Nb 5.0318 -3.6726 -4.8404
Nb 5.0369 0.0057 -4.8373
Nb 8.9509 -7.3466 0.7319
```

## Properties
Offset from the most stable computed form: 0.00 kcal/mol of atoms
Symmetry: P1 (1)
DFT formation energy: -397 kJ/mol of formula units

Computed, not measured: a relaxed structure of Nb2Tc at the GGA-PBE level of DFT. Values from VASP.

Structure (Quantum ESPRESSO input):
```
&SYSTEM
  ibrav = 0, nat = 3, ntyp = 2
/
ATOMIC_SPECIES
Nb 92.91 Nb.upf
Tc 98.00 Tc.upf
CELL_PARAMETERS angstrom
4.9624 -4.0960 3.1010
2.7868 -5.8355 2.5101
2.0796 -0.2812 -1.9247
ATOMIC_POSITIONS angstrom
Nb 5.8274 -6.6604 3.0568
Nb 4.0013 -3.5522 0.6297
Tc 0.0000 0.0000 0.0000
```

## Properties
Symmetry: Fmmm (69)
DFT formation energy: -34 kJ/mol of formula units

Computed, not measured: a relaxed structure of TiNbTc2 at the GGA-PBE level of DFT. Values from VASP.

Structure (Quantum ESPRESSO input):
```
&SYSTEM
  ibrav = 0, nat = 4, ntyp = 3
/
ATOMIC_SPECIES
Tc 98.00 Tc.upf
Ti 47.87 Ti.upf
Nb 92.91 Nb.upf
CELL_PARAMETERS angstrom
-1.4491 -3.6521 -2.1125
-4.3673 -0.5928 -0.6896
-1.6711 0.3237 -4.1234
ATOMIC_POSITIONS angstrom
Tc -5.6156 -2.9409 -5.1942
Tc -1.8719 -0.9803 -1.7314
Ti 0.0000 0.0000 0.0000
Nb -3.7437 -1.9606 -3.4628
```

## Properties
Symmetry: Fm-3m (225)
DFT formation energy: -175 kJ/mol of formula units

| no. | DFT total energy (eV per atom) |
| --- | --- |
| 1 | -8.91 |
| 2 | -8.74 |
| 3 | -5.22 |
| 4 | -6.18 |
| 5 | -7.18 |
| 6 | -6.36 |
| 7 | -6.50 |
| 8 | -10.98 |
| 9 | -5.23 |
| 10 | -6.16 |
| 11 | -10.31 |
| 12 | -10.13 |